# MnFe4Bi5O15 (GGA+U, relaxed)
data_MnFe4Bi5O15
_cell_length_a 5.647
_cell_length_b 5.711
_cell_length_c 23.251
_cell_angle_alpha 83.71
_cell_angle_beta 89.74
_cell_angle_gamma 60.37
_symmetry_space_group_name_H-M 'P 1'
_symmetry_Int_Tables_number 1
_symmetry_space_group_name_Hall 'P 1'
loop_
_atom_site_label
_atom_site_fract_x
_atom_site_fract_y
_atom_site_fract_z
Mn1 0.000 0.000 0.000
Mn2 0.397 0.209 0.201
Fe1 0.098 0.814 0.301
Fe2 0.195 0.616 0.600
Fe3 0.292 0.417 0.900
Fe4 0.493 0.016 0.500
Fe5 0.593 0.819 0.800
Fe6 0.688 0.623 0.098
Fe7 0.795 0.417 0.400
Fe8 0.892 0.217 0.700
Bi1 0.104 0.795 0.444
Bi2 0.203 0.598 0.743
Bi3 0.302 0.389 0.046
Bi4 0.409 0.193 0.344
Bi5 0.503 0.996 0.644
Bi6 0.603 0.793 0.944
Bi7 0.704 0.598 0.243
Bi8 0.805 0.395 0.544
Bi9 0.902 0.198 0.844
Bi10 0.996 0.008 0.144
O1 0.017 0.578 0.368
O2 0.047 0.068 0.358
O3 0.056 0.348 0.637
O4 0.086 0.362 0.132
O5 0.110 0.182 0.468
O6 0.195 0.469 0.257
O7 0.205 0.182 0.967
O8 0.235 0.682 0.955
O9 0.249 0.955 0.237
O10 0.299 0.791 0.063
O11 0.300 0.950 0.737
O12 0.393 0.072 0.858
O13 0.411 0.784 0.567
O14 0.443 0.271 0.557
O15 0.454 0.548 0.837
O16 0.504 0.548 0.336
O17 0.509 0.384 0.667
O18 0.590 0.671 0.458
O19 0.605 0.385 0.166
O20 0.630 0.892 0.159
O21 0.653 0.149 0.437
O22 0.703 0.153 0.938
O23 0.722 0.970 0.271
O24 0.796 0.262 0.052
O25 0.811 0.985 0.767
O26 0.843 0.471 0.757
O27 0.858 0.763 0.032
O28 0.899 0.749 0.537
O29 0.911 0.582 0.867
O30 0.990 0.871 0.657
# - density (Mg/m³) = 8.03
# - energy above the lowest structure with this stoichiometry (meV per atom) = 14.1
# - ΔH_f (0 K) (meV/atom) = -1654
# - magnetization (μB per cell) = 48.00
# - total energy after the MP2020 corrections (eV/atom) = -7.123

# Ba2HoV3O11 (GGA+U, relaxed)
data_Ba2HoV3O11
_cell_length_a 12.449
_cell_length_b 7.766
_cell_length_c 11.349
_cell_angle_alpha 90.00
_cell_angle_beta 103.24
_cell_angle_gamma 90.00
_symmetry_space_group_name_H-M 'P 1 21/c 1'
_symmetry_Int_Tables_number 14
_symmetry_space_group_name_Hall '-P 2ybc'
loop_
_atom_site_label
_atom_site_fract_x
_atom_site_fract_y
_atom_site_fract_z
Ba1 0.054 0.248 0.389
Ba2 0.272 0.725 0.943
Ho1 0.498 0.000 0.219
V1 0.186 0.019 0.173
V2 0.189 0.018 0.672
V3 0.407 0.245 0.977
O1 0.110 0.560 0.769
O2 0.115 0.564 0.039
O3 0.125 0.556 0.533
O4 0.131 0.559 0.282
O5 0.166 0.250 0.167
O6 0.287 0.142 0.447
O7 0.321 0.554 0.717
O8 0.325 0.549 0.196
O9 0.384 0.026 0.975
O10 0.484 0.220 0.363
O11 0.488 0.216 0.626
# - density (Mg/m³) = 4.78
# - ΔH_f (0 K) (meV/atom) = -3005
# - magnetization (μB per cell) = 0.00
# - total energy after the MP2020 corrections (eV/atom) = -8.305

# KSrVO4 (GGA+U, relaxed)
data_KSrVO4
_cell_length_a 5.931
_cell_length_b 7.556
_cell_length_c 10.098
_cell_angle_alpha 90.00
_cell_angle_beta 90.00
_cell_angle_gamma 90.00
_symmetry_space_group_name_H-M 'P 21 21 21'
_symmetry_Int_Tables_number 19
_symmetry_space_group_name_Hall 'P 2ac 2ab'
loop_
_atom_site_label
_atom_site_fract_x
_atom_site_fract_y
_atom_site_fract_z
K1 0.016 0.091 0.423
Sr1 0.019 0.250 0.801
V1 0.015 0.525 0.416
O1 0.006 0.430 0.574
O2 0.065 0.749 0.438
O3 0.238 0.983 0.169
O4 0.245 0.444 0.327
# - density (Mg/m³) = 3.55
# - maximum piezoelectric response (C/m²) = 0.1
# - energy above the lowest structure with this stoichiometry (meV per atom) = 0.0
# - ΔH_f (0 K) (meV/atom) = -2790
# - magnetization (μB per cell) = 0.00
# - total energy after the MP2020 corrections (eV/atom) = -7.315

# KNdFe4O12 (GGA+U, relaxed)
data_KNdFe4O12
_cell_length_a 7.666
_cell_length_b 7.633
_cell_length_c 7.693
_cell_angle_alpha 90.00
_cell_angle_beta 90.00
_cell_angle_gamma 90.00
_symmetry_space_group_name_H-M 'A m m 2'
_symmetry_Int_Tables_number 38
_symmetry_space_group_name_Hall 'A 2 -2'
loop_
_atom_site_label
_atom_site_fract_x
_atom_site_fract_y
_atom_site_fract_z
K1 0.000 0.000 0.000
Nd1 0.500 0.000 0.487
Fe1 0.246 0.249 0.745
O1 0.000 0.237 0.742
O2 0.248 0.000 0.266
O3 0.266 0.249 0.496
O4 0.277 0.000 0.727
O5 0.500 0.231 0.249
# - density (Mg/m³) = 4.42
# - ΔH_f (0 K) (meV/atom) = -1397
# - magnetization (μB per cell) = 38.98
# - total energy after the MP2020 corrections (eV/atom) = -6.905

# Cr3FeO6 (GGA+U, relaxed)
data_Cr3FeO6
_cell_length_a 9.317
_cell_length_b 10.484
_cell_length_c 10.602
_cell_angle_alpha 84.89
_cell_angle_beta 85.46
_cell_angle_gamma 83.46
_symmetry_space_group_name_H-M 'P 1'
_symmetry_Int_Tables_number 1
_symmetry_space_group_name_Hall 'P 1'
loop_
_atom_site_label
_atom_site_fract_x
_atom_site_fract_y
_atom_site_fract_z
Cr1 0.000 0.000 0.000
Cr2 0.017 0.738 0.870
Cr3 0.088 0.174 0.665
Cr4 0.146 0.431 0.391
Cr5 0.198 0.939 0.204
Cr6 0.234 0.686 0.156
Cr7 0.290 0.168 0.420
Cr8 0.361 0.231 0.854
Cr9 0.366 0.883 0.899
Cr10 0.370 0.396 0.624
Cr11 0.531 0.309 0.344
Cr12 0.585 0.685 0.987
Cr13 0.616 0.867 0.487
Cr14 0.651 0.878 0.136
Cr15 0.656 0.168 0.014
Cr16 0.658 0.484 0.624
Cr17 0.690 0.581 0.297
Cr18 0.715 0.798 0.755
Cr19 0.744 0.206 0.704
Cr20 0.862 0.149 0.260
Cr21 0.882 0.825 0.296
Cr22 0.906 0.940 0.553
Cr23 0.969 0.675 0.598
Cr24 0.978 0.529 0.143
Fe1 0.140 0.459 0.890
Fe2 0.219 0.234 0.165
Fe3 0.256 0.827 0.626
Fe4 0.406 0.599 0.816
Fe5 0.467 0.074 0.634
Fe6 0.487 0.436 0.082
Fe7 0.815 0.519 0.849
Fe8 0.986 0.251 0.975
O1 0.036 0.590 0.769
O2 0.038 0.096 0.142
O3 0.038 0.108 0.854
O4 0.049 0.519 0.511
O5 0.059 0.382 0.242
O6 0.088 0.650 0.036
O7 0.089 0.807 0.254
O8 0.094 0.815 0.532
O9 0.115 0.251 0.478
O10 0.197 0.924 0.026
O11 0.200 0.279 0.975
O12 0.224 0.786 0.813
O13 0.232 0.552 0.265
O14 0.257 0.067 0.288
O15 0.288 0.231 0.683
O16 0.335 0.426 0.806
O17 0.340 0.377 0.443
O18 0.347 0.804 0.202
O19 0.388 0.612 0.032
O20 0.401 0.304 0.204
O21 0.414 0.048 0.824
O22 0.428 0.898 0.558
O23 0.469 0.556 0.628
O24 0.483 0.146 0.449
O25 0.506 0.276 0.970
O26 0.514 0.758 0.813
O27 0.542 0.873 0.001
O28 0.571 0.313 0.630
O29 0.585 0.462 0.230
O30 0.599 0.062 0.133
O31 0.622 0.507 0.937
O32 0.644 0.694 0.151
O33 0.659 0.850 0.314
O34 0.680 0.953 0.624
O35 0.715 0.515 0.464
O36 0.727 0.249 0.343
O37 0.733 0.111 0.871
O38 0.761 0.627 0.684
O39 0.788 0.378 0.734
O40 0.794 0.235 0.082
O41 0.795 0.702 0.910
O42 0.837 0.785 0.482
O43 0.851 0.896 0.105
O44 0.881 0.637 0.262
O45 0.897 0.996 0.366
O46 0.906 0.114 0.621
O47 0.916 0.828 0.720
O48 0.942 0.443 0.984
# - density (Mg/m³) = 4.00
# - energy above the lowest structure with this stoichiometry (meV per atom) = 84.5
# - ΔH_f (0 K) (meV/atom) = -1760
# - magnetization (μB per cell) = 100.00
# - total energy after the MP2020 corrections (eV/atom) = -8.471

# Li7Si2Ni3O12 (GGA+U, relaxed)
data_Li7Si2Ni3O12
_cell_length_a 4.874
_cell_length_b 8.491
_cell_length_c 19.196
_cell_angle_alpha 90.00
_cell_angle_beta 94.71
_cell_angle_gamma 90.00
_symmetry_space_group_name_H-M 'C 1 2/c 1'
_symmetry_Int_Tables_number 15
_symmetry_space_group_name_Hall '-C 2yc'
loop_
_atom_site_label
_atom_site_fract_x
_atom_site_fract_y
_atom_site_fract_z
Li1 0.115 0.245 0.123
Li2 0.132 0.086 0.623
Li3 0.132 0.412 0.624
Li4 0.250 0.250 0.500
Si1 0.250 0.083 0.000
Ni1 0.000 0.086 0.250
Ni2 0.000 0.251 0.750
Ni3 0.000 0.420 0.250
O1 0.047 0.436 0.448
O2 0.048 0.064 0.448
O3 0.105 0.250 0.948
O4 0.171 0.242 0.308
O5 0.196 0.071 0.805
O6 0.209 0.420 0.808
# - density (Mg/m³) = 3.97
# - energy above the lowest structure with this stoichiometry (meV per atom) = 0.4
# - ΔH_f (0 K) (meV/atom) = -2130
# - magnetization (μB per cell) = 12.00
# - total energy after the MP2020 corrections (eV/atom) = -6.335

# VBO4 (GGA+U, relaxed)
data_VBO4
_cell_length_a 4.882
_cell_length_b 4.882
_cell_length_c 7.344
_cell_angle_alpha 90.00
_cell_angle_beta 90.00
_cell_angle_gamma 90.00
_symmetry_space_group_name_H-M 'I -4'
_symmetry_Int_Tables_number 82
_symmetry_space_group_name_Hall 'I -4'
loop_
_atom_site_label
_atom_site_fract_x
_atom_site_fract_y
_atom_site_fract_z
V1 0.000 0.000 0.000
B1 0.000 0.500 0.750
O1 0.101 0.726 0.865
# - density (Mg/m³) = 2.39
# - maximum piezoelectric response (C/m²) = 0.1
# - ΔH_f (0 K) (meV/atom) = -2515
# - total energy after the MP2020 corrections (eV/atom) = -8.441

# Mg6VCrO8 (GGA+U, relaxed)
data_Mg6VCrO8
_cell_length_a 4.358
_cell_length_b 4.358
_cell_length_c 8.468
_cell_angle_alpha 90.00
_cell_angle_beta 90.00
_cell_angle_gamma 90.00
_symmetry_space_group_name_H-M 'P 4/m m m'
_symmetry_Int_Tables_number 123
_symmetry_space_group_name_Hall '-P 4 2'
loop_
_atom_site_label
_atom_site_fract_x
_atom_site_fract_y
_atom_site_fract_z
Mg1 0.000 0.000 0.000
Mg2 0.000 0.500 0.249
Mg3 0.500 0.500 0.000
V1 0.000 0.000 0.500
Cr1 0.500 0.500 0.500
O1 0.000 0.000 0.244
O2 0.000 0.500 0.000
O3 0.000 0.500 0.500
O4 0.500 0.500 0.249
# - density (Mg/m³) = 3.89
# - energy above the lowest structure with this stoichiometry (meV per atom) = 6.5
# - ΔH_f (0 K) (meV/atom) = -2734
# - magnetization (μB per cell) = 7.00
# - total energy after the MP2020 corrections (eV/atom) = -6.979

# CoAuO3 (GGA+U, relaxed)
data_CoAuO3
_cell_length_a 3.799
_cell_length_b 3.799
_cell_length_c 3.799
_cell_angle_alpha 90.00
_cell_angle_beta 90.00
_cell_angle_gamma 90.00
_symmetry_space_group_name_H-M 'P m -3 m'
_symmetry_Int_Tables_number 221
_symmetry_space_group_name_Hall '-P 4 2 3'
loop_
_atom_site_label
_atom_site_fract_x
_atom_site_fract_y
_atom_site_fract_z
Co1 0.000 0.000 0.000
Au1 0.500 0.500 0.500
O1 0.000 0.000 0.500
# - density (Mg/m³) = 9.20
# - ΔH_f (0 K) (meV/atom) = -225
# - magnetization (μB per cell) = 4.13
# - total energy after the MP2020 corrections (eV/atom) = -5.271

Please write out number 3 again, unchanged.
# KSrVO4 (GGA+U, relaxed)
data_KSrVO4
_cell_length_a 5.931
_cell_length_b 7.556
_cell_length_c 10.098
_cell_angle_alpha 90.00
_cell_angle_beta 90.00
_cell_angle_gamma 90.00
_symmetry_space_group_name_H-M 'P 21 21 21'
_symmetry_Int_Tables_number 19
_symmetry_space_group_name_Hall 'P 2ac 2ab'
loop_
_atom_site_label
_atom_site_fract_x
_atom_site_fract_y
_atom_site_fract_z
K1 0.016 0.091 0.423
Sr1 0.019 0.250 0.801
V1 0.015 0.525 0.416
O1 0.006 0.430 0.574
O2 0.065 0.749 0.438
O3 0.238 0.983 0.169
O4 0.245 0.444 0.327
# - density (Mg/m³) = 3.55
# - maximum piezoelectric response (C/m²) = 0.1
# - energy above the lowest structure with this stoichiometry (meV per atom) = 0.0
# - ΔH_f (0 K) (meV/atom) = -2790
# - magnetization (μB per cell) = 0.00
# - total energy after the MP2020 corrections (eV/atom) = -7.315